Ba6MgIr6O18: optimized geometry, PBE-GGA.

Cell and atoms, written as CIF:
```
data_Ba6MgIr6O18
_chemical_formula_sum 'Ba6 Mg1 Ir6 O18'
_cell_length_a 5.998
_cell_length_b 5.775
_cell_length_c 14.845
_cell_angle_alpha 91.00
_cell_angle_beta 89.77
_cell_angle_gamma 120.58
_space_group_name_H-M_alt 'P 1'
_space_group_IT_number 1
loop_
_space_group_symop_operation_xyz
'x,y,z'
loop_
_atom_site_label
_atom_site_fract_x
_atom_site_fract_y
_atom_site_fract_z
O1 0.830 0.598 0.949
O2 0.477 0.511 0.254
O3 0.902 0.713 0.594
O4 0.490 0.033 0.737
O5 0.523 0.488 0.746
O6 0.630 0.786 0.447
O7 0.124 0.814 0.412
O8 0.057 0.536 0.252
O9 0.297 0.217 0.906
O10 0.703 0.783 0.094
O11 0.876 0.185 0.588
O12 0.510 0.967 0.263
O13 0.171 0.402 0.051
O14 0.370 0.215 0.552
O15 0.754 0.054 0.915
O16 0.247 0.946 0.085
O17 0.098 0.287 0.406
O18 0.943 0.465 0.748
Ba1 0.022 0.991 0.254
Ba2 0.265 0.693 0.877
Ba3 0.665 0.328 0.410
Ba4 0.736 0.307 0.123
Ba5 0.334 0.672 0.590
Ba6 0.978 0.008 0.746
Ir1 0.333 0.658 0.351
Ir2 0.999 0.000 0.500
Ir3 0.649 0.315 0.840
Ir4 0.000 0.000 0.000
Ir5 0.351 0.685 0.160
Ir6 0.667 0.342 0.649
Mg1 0.500 0.500 0.000
```

**E**: -0.23966 hartree per atom
**MP2020-corrected energy**: -6.920 eV per atom
**Space group**: P-1, No. 2
**DFT formation energy**: -1914 meV per atom



YErTl2: optimized geometry, PBE-GGA.

Cell and atoms, written as CIF:
```
data_YErTl2
_chemical_formula_sum 'Y1 Er1 Tl2'
_cell_length_a 5.361
_cell_length_b 5.361
_cell_length_c 5.361
_cell_angle_alpha 60.00
_cell_angle_beta 60.00
_cell_angle_gamma 60.00
_space_group_name_H-M_alt 'P 1'
_space_group_IT_number 1
loop_
_space_group_symop_operation_xyz
'x,y,z'
loop_
_atom_site_label
_atom_site_fract_x
_atom_site_fract_y
_atom_site_fract_z
Y1 0.000 0.000 0.000
Er1 0.500 0.500 0.500
Tl1 0.250 0.250 0.250
Tl2 0.750 0.750 0.750
```

**E**: -0.15737 hartree per atom
**Space group**: Fm-3m, No. 225
**DFT formation energy**: -342 meV per atom



Li4NbO4: optimized geometry, PBE-GGA.

Cell and atoms, written as CIF:
```
data_Li4NbO4
_chemical_formula_sum 'Li8 Nb2 O8'
_cell_length_a 5.516
_cell_length_b 5.516
_cell_length_c 6.540
_cell_angle_alpha 90.00
_cell_angle_beta 90.00
_cell_angle_gamma 100.46
_space_group_name_H-M_alt 'P 1'
_space_group_IT_number 1
loop_
_space_group_symop_operation_xyz
'x,y,z'
loop_
_atom_site_label
_atom_site_fract_x
_atom_site_fract_y
_atom_site_fract_z
O1 0.219 0.219 0.989
O2 0.781 0.781 0.011
O3 0.766 0.334 0.750
O4 0.334 0.766 0.750
O5 0.781 0.781 0.489
O6 0.234 0.666 0.250
O7 0.666 0.234 0.250
O8 0.219 0.219 0.511
Li1 0.156 0.844 0.500
Li2 0.844 0.156 0.500
Li3 0.864 0.580 0.250
Li4 0.156 0.844 0.000
Li5 0.136 0.420 0.750
Li6 0.844 0.156 0.000
Li7 0.580 0.864 0.250
Li8 0.420 0.136 0.750
Nb1 0.348 0.348 0.250
Nb2 0.652 0.652 0.750
```

**E**: -0.23049 hartree per atom
**MP2020-corrected energy**: -6.577 eV per atom
**Space group**: Cmcm, No. 63
**DFT formation energy**: -2407 meV per atom



AgBiO3: optimized geometry, PBE-GGA.

Cell and atoms, written as CIF:
```
data_AgBiO3
_chemical_formula_sum 'Ag2 Bi2 O6'
_cell_length_a 6.303
_cell_length_b 6.303
_cell_length_c 6.303
_cell_angle_alpha 54.56
_cell_angle_beta 54.56
_cell_angle_gamma 54.56
_space_group_name_H-M_alt 'P 1'
_space_group_IT_number 1
loop_
_space_group_symop_operation_xyz
'x,y,z'
loop_
_atom_site_label
_atom_site_fract_x
_atom_site_fract_y
_atom_site_fract_z
O1 0.060 0.458 0.708
O2 0.542 0.292 0.940
O3 0.940 0.542 0.292
O4 0.458 0.708 0.060
O5 0.292 0.940 0.542
O6 0.708 0.060 0.458
Bi1 0.342 0.342 0.342
Bi2 0.658 0.658 0.658
Ag1 0.868 0.868 0.868
Ag2 0.132 0.132 0.132
```

**E**: -0.18030 hartree per atom
**MP2020-corrected energy**: -5.318 eV per atom
**Space group**: R-3, No. 148
**DFT formation energy**: -1005 meV per atom